Here is a relaxed structure of YMg14Cr from Materials Project. Energies are from GGA-PBE.

a b c (Å): 6.4546 6.3686 10.3032
angles (deg): 90.00 90.00 119.56
Closest atoms and distances in Å follow each position.
Fractional coordinates of all 16 atoms:
Y  0.1624  0.3312  0.1250  2 Cr 3.18, 10 Mg 3.20-3.24
Mg  0.3338  0.1619  0.3761  10 Mg 3.12-3.28, 1 Cr 3.15, 1 Y 3.20
Mg  0.8330  0.1665  0.3813  11 Mg 3.12-3.25, 1 Y 3.22
Mg  0.3338  0.6719  0.8739  10 Mg 3.12-3.28, 1 Cr 3.15, 1 Y 3.20
Cr  0.1729  0.8364  0.1250  10 Mg 3.11-3.32, 2 Y 3.18
Mg  0.8330  0.1665  0.8687  11 Mg 3.12-3.25, 1 Y 3.22
Mg  0.6592  0.8372  0.1250  8 Mg 3.09-3.28, 2 Cr 3.14-3.32, 2 Y 3.22-3.24
Mg  0.6665  0.3345  0.6250  12 Mg 3.12-3.25
Mg  0.3338  0.1619  0.8739  10 Mg 3.12-3.28, 1 Cr 3.15, 1 Y 3.20
Mg  0.6592  0.3219  0.1250  8 Mg 3.09-3.28, 2 Cr 3.14-3.32, 2 Y 3.22-3.24
Mg  0.8402  0.6701  0.8840  1 Cr 3.11, 11 Mg 3.15-3.28
Mg  0.3338  0.6719  0.3761  10 Mg 3.12-3.28, 1 Cr 3.15, 1 Y 3.20
Mg  0.6665  0.8321  0.6250  12 Mg 3.12-3.25
Mg  0.8402  0.6701  0.3660  1 Cr 3.11, 11 Mg 3.15-3.28
Mg  0.1654  0.8327  0.6250  12 Mg 3.15-3.24
Mg  0.1664  0.3332  0.6250  12 Mg 3.13-3.23

Summary:
As for the symmetry: Amm2. For the uncorrected energy, the calculation gives -37.5 eV for the cell shown. For the density, the calculation gives 2.2 g/cm³. The value obtained for the offset from the most stable computed form is 0 meV per atom. For the energy of formation, the calculation gives 66 meV per atom. As for the total magnetic moment: 0.26 μB/atom.

Here is a relaxed structure of TiPbO3 from Materials Project. Energies are from GGA-PBE.

a b c (Å): 3.8047 9.1988 9.1988
angles (deg): 87.55 78.06 78.06
Closest atoms and distances in Å follow each position.
Fractional coordinates of all 20 atoms:
Pb  0.3505  0.9790  0.3200  3 O 2.26-2.48
O  0.2891  0.8740  0.5479  1 Ti 1.88
O  0.7582  0.2888  0.1948  1 Ti 1.78
Pb  0.3295  0.3200  0.0210  3 O 2.26-2.48
O  0.0470  0.1948  0.7112  1 Ti 1.78
Pb  0.6495  0.0210  0.6800  3 O 2.26-2.48
O  0.9530  0.8052  0.2888  1 Ti 1.78
O  0.1631  0.5479  0.1260  1 Ti 1.88
O  0.8963  0.6332  0.5742  2 Ti 1.97
O  0.8369  0.4521  0.8740  1 Ti 1.88
Ti  0.3569  0.6752  0.6109  4 O 1.78-1.97
O  0.1037  0.3668  0.4258  2 Ti 1.97
Ti  0.6431  0.3248  0.3891  4 O 1.78-1.97
O  0.4705  0.4258  0.6332  2 Ti 1.97
O  0.7109  0.1260  0.4521  1 Ti 1.88
Ti  0.0321  0.6109  0.3248  4 O 1.78-1.97
Ti  0.9679  0.3891  0.6752  4 O 1.78-1.97
O  0.2418  0.7112  0.8052  1 Ti 1.78
O  0.5295  0.5742  0.3668  2 Ti 1.97
Pb  0.6705  0.6800  0.9790  3 O 2.26-2.48

Summary:
As for the symmetry: I4/m. For the uncorrected energy, the calculation gives -152.1 eV for the cell shown. For the density, the calculation gives 6.5 g/cm³. For the energy of formation, the calculation gives -2727 meV per atom.

Here is a relaxed structure of ZnHg4Te5 from Materials Project. Energies are from GGA-PBE.

a b c (Å): 19.1708 19.1708 19.1708
angles (deg): 13.95 13.95 13.95
Closest atoms and distances in Å follow each position.
Fractional coordinates of all 10 atoms:
Hg  0.9986  0.9986  0.9986  4 Te 2.87-2.88
Te  0.0489  0.0489  0.0489  4 Hg 2.87
Hg  0.2021  0.2021  0.2021  4 Te 2.88-2.89
Zn  0.5997  0.5997  0.5997  4 Te 2.70-2.80
Te  0.2529  0.2529  0.2529  3 Zn 2.80, 1 Hg 2.89
Te  0.4499  0.4499  0.4499  4 Hg 2.85-2.86
Te  0.8507  0.8507  0.8507  4 Hg 2.86-2.88
Hg  0.8004  0.8004  0.8004  4 Te 2.86
Te  0.6471  0.6471  0.6471  1 Zn 2.70, 3 Hg 2.88
Hg  0.3998  0.3998  0.3998  4 Te 2.85-2.87

Summary:
As for the symmetry: R3m. For the uncorrected energy, the calculation gives -20.1 eV for the cell shown. For the density, the calculation gives 7.0 g/cm³. For the energy of formation, the calculation gives -407 meV per atom. As for the total magnetic moment: 0.00 μB/atom.

Here is a relaxed structure of Sc2InPd2 from Materials Project. Energies are from GGA-PBE.

a b c (Å): 7.5280 7.5280 6.8712
angles (deg): 90.00 90.00 90.00
Closest atoms and distances in Å follow each position.
Fractional coordinates of all 20 atoms:
Sc  0.8140  0.8140  0.5000  6 Pd 2.74-2.85
Pd  0.1284  0.8716  0.7228  1 Pd 2.73, 6 Sc 2.74-2.89, 2 In 2.97
Pd  0.6284  0.6284  0.2228  1 Pd 2.73, 6 Sc 2.74-2.89, 2 In 2.97
Sc  0.3413  0.6587  0.5000  6 Pd 2.74-2.89
Sc  0.1860  0.1860  0.5000  6 Pd 2.74-2.85
In  0.0000  0.5000  0.7500  4 Pd 2.97, 8 Sc 3.24-3.31
Pd  0.6284  0.6284  0.7772  1 Pd 2.73, 6 Sc 2.74-2.89, 2 In 2.97
Pd  0.1284  0.8716  0.2772  1 Pd 2.73, 6 Sc 2.74-2.89, 2 In 2.97
In  0.5000  0.0000  0.2500  4 Pd 2.97, 8 Sc 3.24-3.31
Pd  0.8716  0.1284  0.7228  1 Pd 2.73, 6 Sc 2.74-2.89, 2 In 2.97
Sc  0.6587  0.3413  0.5000  6 Pd 2.74-2.89
Sc  0.1587  0.1587  0.0000  6 Pd 2.74-2.89
Sc  0.6860  0.3140  0.0000  6 Pd 2.74-2.85
Pd  0.8716  0.1284  0.2772  1 Pd 2.73, 6 Sc 2.74-2.89, 2 In 2.97
Sc  0.8413  0.8413  0.0000  6 Pd 2.74-2.89
In  0.0000  0.5000  0.2500  4 Pd 2.97, 8 Sc 3.24-3.31
Sc  0.3140  0.6860  0.0000  6 Pd 2.74-2.85
Pd  0.3716  0.3716  0.7772  1 Pd 2.73, 6 Sc 2.74-2.89, 2 In 2.97
Pd  0.3716  0.3716  0.2228  1 Pd 2.73, 6 Sc 2.74-2.89, 2 In 2.97
In  0.5000  0.0000  0.7500  4 Pd 2.97, 8 Sc 3.24-3.31

Summary:
As for the symmetry: P4_2/mnm. For the uncorrected energy, the calculation gives -119.5 eV for the cell shown. For the density, the calculation gives 7.1 g/cm³. For the energy of formation, the calculation gives -819 meV per atom.

Here is a relaxed structure of Dy2TlZn from Materials Project. Energies are from GGA-PBE.

a b c (Å): 5.2208 5.2208 5.2208
angles (deg): 60.00 60.00 60.00
Closest atoms and distances in Å follow each position.
Fractional coordinates of all 4 atoms:
Zn  0.0000  0.0000  0.0000  8 Dy 3.20
Dy  0.2500  0.2500  0.2500  4 Tl 3.20, 4 Zn 3.20
Dy  0.7500  0.7500  0.7500  4 Tl 3.20, 4 Zn 3.20
Tl  0.5000  0.5000  0.5000  8 Dy 3.20

Summary:
As for the symmetry: Fm-3m. For the uncorrected energy, the calculation gives -14.2 eV for the cell shown. For the density, the calculation gives 9.8 g/cm³. For the energy of formation, the calculation gives -333 meV per atom.

Here is a relaxed structure of ReCl5 from Materials Project. Energies are from GGA-PBE.

a b c (Å): 12.3582 9.5578 12.8767
angles (deg): 70.19 90.00 90.00
Closest atoms and distances in Å follow each position.
Fractional coordinates of all 48 atoms:
Cl  0.4812  0.2821  0.0687  1 Re 2.28
Re  0.1240  0.3040  0.7079  6 Cl 2.26-2.49
Cl  0.2668  0.9061  0.4529  1 Re 2.28
Re  0.3760  0.3040  0.2079  6 Cl 2.26-2.49
Cl  0.2684  0.2870  0.3559  1 Re 2.28
Cl  0.0214  0.9046  0.6644  1 Re 2.28
Cl  0.4786  0.9046  0.1644  1 Re 2.28
Cl  0.2332  0.9061  0.9529  1 Re 2.28
Cl  0.2665  0.4740  0.0898  1 Re 2.26
Re  0.8724  0.1156  0.1862  6 Cl 2.26-2.50
Cl  0.4896  0.4687  0.2415  1 Re 2.26
Cl  0.0104  0.4687  0.7415  1 Re 2.26
Cl  0.9815  0.9073  0.1649  2 Re 2.49-2.50
Cl  0.2316  0.2870  0.8559  1 Re 2.28
Re  0.3724  0.8844  0.3138  6 Cl 2.26-2.50
Cl  0.2396  0.7179  0.7805  1 Re 2.26
Cl  0.7604  0.2821  0.2195  1 Re 2.26
Cl  0.4815  0.0927  0.3351  2 Re 2.49-2.50
Cl  0.9812  0.7179  0.4313  1 Re 2.28
Re  0.8760  0.6960  0.2921  6 Cl 2.26-2.49
Cl  0.7684  0.7130  0.1441  1 Re 2.28
Cl  0.2341  0.0960  0.6878  2 Re 2.49-2.50
Cl  0.0188  0.2821  0.5687  1 Re 2.28
Cl  0.2659  0.0960  0.1878  2 Re 2.49-2.50
Re  0.6276  0.1156  0.6862  6 Cl 2.26-2.50
Re  0.6240  0.6960  0.7921  6 Cl 2.26-2.49
Cl  0.7659  0.9040  0.3122  2 Re 2.49-2.50
Cl  0.0185  0.0927  0.8351  2 Re 2.49-2.50
Cl  0.9786  0.0954  0.3356  1 Re 2.28
Cl  0.5104  0.5313  0.7585  1 Re 2.26
Cl  0.2335  0.4740  0.5898  1 Re 2.26
Cl  0.5165  0.2851  0.5693  1 Re 2.26
Cl  0.7665  0.5260  0.4102  1 Re 2.26
Cl  0.5185  0.9073  0.6649  2 Re 2.49-2.50
Cl  0.4835  0.7149  0.4307  1 Re 2.26
Cl  0.5188  0.7179  0.9313  1 Re 2.28
Cl  0.7332  0.0939  0.5471  1 Re 2.28
Cl  0.7668  0.0939  0.0471  1 Re 2.28
Cl  0.7396  0.2821  0.7195  1 Re 2.26
Cl  0.5214  0.0954  0.8356  1 Re 2.28
Cl  0.7341  0.9040  0.8122  2 Re 2.49-2.50
Cl  0.0165  0.7149  0.9307  1 Re 2.26
Cl  0.9835  0.2851  0.0693  1 Re 2.26
Cl  0.7316  0.7130  0.6441  1 Re 2.28
Cl  0.2604  0.7179  0.2805  1 Re 2.26
Cl  0.7335  0.5260  0.9102  1 Re 2.26
Cl  0.9896  0.5313  0.2585  1 Re 2.26
Re  0.1276  0.8844  0.8138  6 Cl 2.26-2.50

Summary:
As for the symmetry: P2_1/c. For the uncorrected energy, the calculation gives -198.0 eV for the cell shown. For the density, the calculation gives 3.4 g/cm³. For the energy of formation, the calculation gives -1023 meV per atom. As for the total magnetic moment: 0.00 μB/atom.

Here is a relaxed structure of Ce2ZrSe5 from Materials Project. Energies are from GGA-PBE.

a b c (Å): 7.7204 8.4608 12.0356
angles (deg): 90.00 90.00 90.00
Closest atoms and distances in Å follow each position.
Fractional coordinates of all 32 atoms:
Se  0.6510  0.2500  0.3100  1 Zr 2.80, 2 Ce 3.07
Se  0.6701  0.7500  0.2895  1 Zr 2.74, 4 Ce 3.05
Ce  0.0486  0.4985  0.6745  8 Se 3.01-3.15
Ce  0.5486  0.9985  0.8255  8 Se 3.01-3.15
Se  0.1510  0.7500  0.1900  1 Zr 2.80, 2 Ce 3.07
Se  0.3246  0.9617  0.4202  2 Zr 2.69-2.86
Se  0.5519  0.7500  0.0044  1 Zr 2.86, 4 Ce 3.01-3.05
Se  0.8246  0.0383  0.0798  2 Zr 2.69-2.86
Zr  0.5780  0.7500  0.5091  7 Se 2.69-2.86
Se  0.3299  0.2500  0.7105  1 Zr 2.74, 4 Ce 3.05
Se  0.9481  0.7500  0.5044  1 Zr 2.86, 4 Ce 3.01-3.05
Se  0.1754  0.9617  0.9202  2 Zr 2.69-2.86
Se  0.6754  0.0383  0.5798  2 Zr 2.69-2.86
Ce  0.4514  0.0015  0.1745  8 Se 3.01-3.15
Se  0.3490  0.7500  0.6900  1 Zr 2.80, 2 Ce 3.07
Se  0.8246  0.4617  0.0798  2 Zr 2.69-2.86
Se  0.4481  0.2500  0.9956  1 Zr 2.86, 4 Ce 3.01-3.05
Ce  0.9514  0.9985  0.3255  8 Se 3.01-3.15
Zr  0.4220  0.2500  0.4909  7 Se 2.69-2.86
Se  0.8490  0.2500  0.8100  1 Zr 2.80, 2 Ce 3.07
Zr  0.0780  0.2500  0.9909  7 Se 2.69-2.86
Se  0.8299  0.7500  0.7895  1 Zr 2.74, 4 Ce 3.05
Ce  0.5486  0.5015  0.8255  8 Se 3.01-3.15
Ce  0.0486  0.0015  0.6745  8 Se 3.01-3.15
Se  0.3246  0.5383  0.4202  2 Zr 2.69-2.86
Se  0.1701  0.2500  0.2105  1 Zr 2.74, 4 Ce 3.05
Se  0.1754  0.5383  0.9202  2 Zr 2.69-2.86
Se  0.0519  0.2500  0.4956  1 Zr 2.86, 4 Ce 3.01-3.05
Ce  0.4514  0.4985  0.1745  8 Se 3.01-3.15
Zr  0.9220  0.7500  0.0091  7 Se 2.69-2.86
Ce  0.9514  0.5015  0.3255  8 Se 3.01-3.15
Se  0.6754  0.4617  0.5798  2 Zr 2.69-2.86

Summary:
As for the symmetry: Pnma. For the uncorrected energy, the calculation gives -206.3 eV for the cell shown. For the density, the calculation gives 6.5 g/cm³. For the energy of formation, the calculation gives -2005 meV per atom. As for the total magnetic moment: 0.02 μB/atom.

Here is a relaxed structure of Y3Sc2Al3O12 from Materials Project. Energies are from GGA-PBE.

a b c (Å): 10.7795 10.7795 10.7795
angles (deg): 109.47 109.47 109.47
Closest atoms and distances in Å follow each position.
Fractional coordinates of all 80 atoms:
O  0.7867  0.4122  0.8119  1 Al 1.79
O  0.8997  0.0252  0.3119  1 Al 1.79
O  0.6254  0.4122  0.1003  1 Al 1.79
O  0.9748  0.6881  0.1003  1 Al 1.79
O  0.2867  0.4748  0.3746  1 Al 1.79
O  0.3119  0.8997  0.0252  1 Al 1.79
Al  0.8750  0.1250  0.7500  4 O 1.79
Al  0.1250  0.8750  0.2500  4 O 1.79
Y  0.1250  0.3750  0.7500  8 O 2.37-2.47
Al  0.6250  0.7500  0.3750  4 O 1.79
O  0.0878  0.8746  0.3997  1 Al 1.79
O  0.9122  0.2867  0.3119  1 Al 1.79
O  0.8119  0.7867  0.4122  1 Al 1.79
Sc  0.5000  0.0000  0.5000  6 O 2.11
Y  0.3750  0.7500  0.1250  8 O 2.37-2.47
Y  0.1250  0.2500  0.3750  8 O 2.37-2.47
Sc  0.0000  0.0000  0.5000  6 O 2.11
O  0.3746  0.5878  0.8997  1 Al 1.79
O  0.6003  0.1881  0.4748  1 Al 1.79
Y  0.3750  0.1250  0.2500  8 O 2.37-2.47
O  0.8746  0.3997  0.0878  1 Al 1.79
O  0.1003  0.9748  0.6881  1 Al 1.79
O  0.3997  0.8119  0.5252  1 Al 1.79
O  0.6003  0.9122  0.1254  1 Al 1.79
O  0.3997  0.0878  0.8746  1 Al 1.79
Al  0.3750  0.2500  0.6250  4 O 1.79
O  0.7133  0.5252  0.6254  1 Al 1.79
O  0.8746  0.9748  0.7867  1 Al 1.79
O  0.7867  0.8746  0.9748  1 Al 1.79
Al  0.1250  0.7500  0.8750  4 O 1.79
Al  0.6250  0.3750  0.2500  4 O 1.79
O  0.1881  0.2133  0.5878  1 Al 1.79
Y  0.8750  0.7500  0.6250  8 O 2.37-2.47
O  0.4748  0.3746  0.2867  1 Al 1.79
O  0.1254  0.6003  0.9122  1 Al 1.79
O  0.5252  0.3997  0.8119  1 Al 1.79
O  0.1881  0.4748  0.6003  1 Al 1.79
O  0.0252  0.2133  0.1254  1 Al 1.79
Sc  0.0000  0.5000  0.0000  6 O 2.11
O  0.3119  0.9122  0.2867  1 Al 1.79
Al  0.8750  0.2500  0.1250  4 O 1.79
Sc  0.5000  0.0000  0.0000  6 O 2.11
O  0.8119  0.5252  0.3997  1 Al 1.79
O  0.2133  0.1254  0.0252  1 Al 1.79
O  0.4122  0.1003  0.6254  1 Al 1.79
Sc  0.5000  0.5000  0.0000  6 O 2.11
O  0.9748  0.7867  0.8746  1 Al 1.79
O  0.6881  0.0878  0.7133  1 Al 1.79
Y  0.7500  0.6250  0.8750  8 O 2.37-2.47
O  0.4122  0.8119  0.7867  1 Al 1.79
Y  0.6250  0.2500  0.8750  8 O 2.37-2.47
Al  0.2500  0.6250  0.3750  4 O 1.79
O  0.5878  0.8997  0.3746  1 Al 1.79
O  0.0252  0.3119  0.8997  1 Al 1.79
O  0.1254  0.0252  0.2133  1 Al 1.79
O  0.8997  0.3746  0.5878  1 Al 1.79
O  0.6254  0.7133  0.5252  1 Al 1.79
Sc  0.0000  0.0000  0.0000  6 O 2.11
O  0.5878  0.1881  0.2133  1 Al 1.79
O  0.2133  0.5878  0.1881  1 Al 1.79
Y  0.2500  0.3750  0.1250  8 O 2.37-2.47
O  0.5252  0.6254  0.7133  1 Al 1.79
Sc  0.5000  0.5000  0.5000  6 O 2.11
Y  0.8750  0.6250  0.2500  8 O 2.37-2.47
O  0.2867  0.3119  0.9122  1 Al 1.79
Y  0.7500  0.1250  0.3750  8 O 2.37-2.47
Al  0.7500  0.3750  0.6250  4 O 1.79
O  0.7133  0.6881  0.0878  1 Al 1.79
O  0.1003  0.6254  0.4122  1 Al 1.79
Y  0.6250  0.8750  0.7500  8 O 2.37-2.47
Al  0.3750  0.6250  0.7500  4 O 1.79
Sc  0.0000  0.5000  0.5000  6 O 2.11
Y  0.2500  0.8750  0.6250  8 O 2.37-2.47
O  0.4748  0.6003  0.1881  1 Al 1.79
Al  0.2500  0.1250  0.8750  4 O 1.79
Al  0.7500  0.8750  0.1250  4 O 1.79
O  0.6881  0.1003  0.9748  1 Al 1.79
O  0.0878  0.7133  0.6881  1 Al 1.79
O  0.3746  0.2867  0.4748  1 Al 1.79
O  0.9122  0.1254  0.6003  1 Al 1.79

Summary:
As for the symmetry: Ia-3d. For the uncorrected energy, the calculation gives -682.4 eV for the cell shown. For the density, the calculation gives 4.3 g/cm³. For the energy of formation, the calculation gives -3808 meV per atom. As for the total magnetic moment: 0.00 μB/atom.